Computed, not measured: PrNiSnH2 after structural relaxation at the PBE-GGA level of DFT.

calculated total energy	-4.80	eV per atom
volume	72.18	Å³/f.u.
spin magnetization	0.000	Bohr magnetons per cell

Lattice parameters (Å, degrees): 4.411 4.411 8.566 90.00 90.00 120.00
Fractional positions:
Pr: 0.000 0.000 0.000
Pr: 0.000 0.000 0.500
Ni: 0.333 0.667 0.250
Ni: 0.667 0.333 0.750
Sn: 0.333 0.667 0.750
Sn: 0.667 0.333 0.250
H: 0.333 0.667 0.064
H: 0.333 0.667 0.436
H: 0.667 0.333 0.564
H: 0.667 0.333 0.936

Computed, not measured: SmIn after structural relaxation at the PBE-GGA level of DFT.

calculated total energy	-4.22	eV per atom
volume	56.59	Å³/f.u.

Lattice parameters (Å, degrees): 3.839 3.839 3.839 90.00 90.00 90.00
Fractional positions:
Sm: 0.000 0.000 0.000
In: 0.500 0.500 0.500